First-principles (PBE) data for an optimized crystal structure of CsSb4F13, as listed in the Materials Project.

```
18
Lattice="-2.306 -2.663 7.105 0.475 7.538 -2.418 -5.810 -2.752 -4.644" Properties=species:S:1:pos:R:3 pbc="T T T"
Sb -2.229 -1.463 0.651
F -2.379 1.417 -0.218
Sb -3.903 3.465 -5.128
F -3.234 1.437 -2.758
F -5.261 0.707 0.262
F -2.549 2.210 4.995
F -6.159 2.756 -2.220
F -5.092 -0.086 -4.952
F -1.482 -0.632 2.263
Cs -0.915 2.438 2.344
Sb -5.411 3.586 -0.607
F -4.406 0.686 2.802
Sb -3.737 -1.341 5.172
F 0.000 0.000 0.000
F -4.194 -2.135 -2.470
F -3.447 4.258 2.513
F -2.406 4.653 -0.543
F -5.235 -2.530 0.586
```

ΔE_f: -4658 kJ/mol of formula units
M_tot: 0.01 μB per cell
Mass density: 4.06 g cm⁻³

=====

First-principles (PBE) data for an optimized crystal structure of CsSbF4, as listed in the Materials Project.

```
48
Lattice="6.470 0.000 0.000 0.000 9.828 0.000 0.000 0.000 16.124" Properties=species:S:1:pos:R:3 pbc="T T T"
Cs 3.235 5.808 1.863
F 5.049 8.243 7.291
F 1.791 3.847 11.368
Sb 3.235 9.567 14.020
Sb 0.000 7.028 8.075
Cs 0.000 6.314 12.270
F 3.235 6.043 11.573
Sb 3.235 0.261 2.103
F 1.659 6.100 9.404
F 4.678 5.981 4.755
Cs 3.235 4.020 14.261
Sb 0.000 2.800 8.049
Sb 3.235 5.175 5.959
F 4.811 3.728 6.720
F 0.000 1.589 6.492
F 5.049 1.585 8.833
Sb 3.235 4.653 10.165
F 4.811 6.100 9.404
Cs 0.000 1.400 11.916
Sb 0.000 7.714 0.013
F 3.235 8.699 3.512
F 1.420 8.243 7.291
Cs 0.000 8.428 4.208
F 1.420 1.585 8.833
F 3.235 3.785 4.550
F 4.678 1.067 3.306
Sb 0.000 2.114 16.111
F 1.420 6.499 15.353
F 4.811 1.186 14.782
Cs 3.235 8.934 9.925
Cs 3.235 0.894 6.199
F 5.049 6.499 15.353
F 1.659 8.642 1.342
F 0.000 3.325 14.554
Cs 0.000 3.514 3.854
F 3.235 1.129 12.612
F 4.811 8.642 1.342
F 0.000 6.503 1.570
F 1.659 1.186 14.782
F 1.791 1.067 3.306
F 1.791 5.981 4.755
F 1.791 8.761 12.817
F 0.000 8.239 9.632
F 4.678 3.847 11.368
F 5.049 3.329 0.771
F 1.659 3.728 6.720
F 1.420 3.329 0.771
F 4.678 8.761 12.817
```

ΔE_f: -1660 kJ/mol of formula units
Mass density: 4.28 g cm⁻³

=====

First-principles (PBE) data for an optimized crystal structure of Cs2TlSbF6, as listed in the Materials Project.

```
10
Lattice="0.000 4.918 4.918 4.918 0.000 4.918 4.918 4.918 0.000" Properties=species:S:1:pos:R:3 pbc="T T T"
F 4.918 2.210 4.918
F 4.918 4.918 2.210
Cs 2.459 2.459 2.459
F 2.210 4.918 4.918
F 4.918 4.918 7.626
Sb 0.000 0.000 0.000
Cs 7.378 7.378 7.378
F 4.918 7.626 4.918
F 7.626 4.918 4.918
Tl 4.918 4.918 4.918
```

ΔE_f: -2587 kJ/mol of formula units
M_tot: 0.00 μB per cell
Mass density: 4.93 g cm⁻³

=====

First-principles (PBE) data for an optimized crystal structure of CsSc3F10, as listed in the Materials Project.

```
28
Lattice="6.948 0.000 0.000 0.000 7.667 0.000 0.000 0.000 8.215" Properties=species:S:1:pos:R:3 pbc="T T T"
F 4.657 3.870 2.119
Cs 6.887 3.834 0.000
F 1.386 1.522 2.124
Sc 3.474 2.103 2.054
F 5.546 1.443 6.249
F 4.657 3.798 6.095
Cs 0.061 3.834 4.107
F 1.402 6.225 2.142
F 6.857 0.000 4.107
Sc 3.474 5.656 2.054
F 0.091 0.000 0.000
F 3.481 2.098 4.108
F 2.291 3.870 1.988
F 3.481 5.570 4.106
Sc 0.000 7.636 6.161
F 3.474 7.623 6.161
F 5.562 1.522 1.983
Sc 3.474 5.564 6.161
F 5.562 6.145 6.231
F 3.467 2.098 8.214
F 5.546 6.225 1.965
F 1.402 1.443 6.072
F 3.474 0.045 2.054
Sc 0.000 0.032 2.054
F 2.291 3.798 6.227
F 3.467 5.570 0.001
Sc 3.474 2.012 6.161
F 1.386 6.145 6.091
```

ΔE_f: -5566 kJ/mol of formula units
Mass density: 3.47 g cm⁻³